PrHfO3 | the Materials Project database | GGA-PBE | relaxed; space group = Pm-3m; magnetic moment = 0.01 μB/cell; energy of formation = -3.453 eV/atom; E_tot = -8.957 eV/atom
1.0
4.126 0.000 0.000
0.000 4.126 0.000
0.000 0.000 4.126
Pr Hf O
1 1 3
Cartesian
0.000 0.000 0.000 Pr
2.063 2.063 2.063 Hf
0.000 2.063 2.063 O
2.063 0.000 2.063 O
2.063 2.063 0.000 O

---

BaAl3P2H2O14 | the Materials Project database | GGA-PBE | relaxed; space group = C2/m; magnetic moment = 1.00 μB/cell; energy of formation = -2.518 eV/atom; E_tot = -6.628 eV/atom
1.0
6.425 -3.260 0.000
6.425 3.260 0.000
-4.069 0.000 6.335
Ba Al P H O
1 3 2 2 14
Cartesian
0.000 0.000 0.000 Ba
-2.034 0.000 3.167 Al
1.178 1.630 3.167 Al
1.178 -1.630 3.167 Al
0.033 0.000 5.566 P
8.748 0.000 0.769 P
2.780 0.000 2.237 H
6.002 0.000 4.098 H
2.807 2.489 3.759 O
0.810 1.243 5.010 O
-1.414 0.000 4.957 O
5.974 2.489 2.576 O
2.102 0.000 2.959 O
4.077 0.000 0.755 O
7.971 1.243 1.325 O
0.810 -1.243 5.010 O
4.704 0.000 5.580 O
6.679 0.000 3.376 O
2.807 -2.489 3.759 O
10.195 0.000 1.378 O
7.971 -1.243 1.325 O
5.974 -2.489 2.576 O

---

Eu3Cr | the Materials Project database | GGA-PBE | relaxed; polymorph energy (0 for the lowest one) = 0.000 eV per atom; space group = P6_3/mmc; magnetic moment = 53.81 μB/cell; energy of formation = 0.424 eV/atom; E_tot = -9.682 eV/atom
1.0
7.491 0.000 0.000
-3.746 6.488 0.000
0.000 0.000 5.886
Eu Cr
6 2
Cartesian
0.000 2.238 1.472 Eu
-1.807 5.369 1.472 Eu
1.939 1.119 4.415 Eu
1.807 5.369 1.472 Eu
5.553 1.119 4.415 Eu
3.746 4.249 4.415 Eu
0.000 4.325 4.415 Cr
3.746 2.163 1.472 Cr

---

Li2AcTl | the Materials Project database | GGA-PBE | relaxed; space group = Fm-3m; energy of formation = -0.203 eV/atom; E_tot = -2.778 eV/atom
1.0
0.000 3.680 3.680
3.680 0.000 3.680
3.680 3.680 0.000
Li Ac Tl
2 1 1
Cartesian
1.840 1.840 1.840 Li
5.520 5.520 5.520 Li
0.000 0.000 0.000 Ac
3.680 3.680 3.680 Tl

---

K3LaP2O8 | the Materials Project database | GGA-PBE | relaxed; space group = P2_1/m; magnetic moment = 0.00 μB/cell; energy of formation = -2.995 eV/atom; E_tot = -6.794 eV/atom
1.0
7.612 0.000 0.000
0.000 5.741 0.000
-0.210 0.000 9.736
K La P O
6 2 4 16
Cartesian
0.019 1.435 1.852 K
0.994 4.306 3.948 K
2.059 1.435 8.915 K
5.343 4.306 0.821 K
6.408 1.435 5.788 K
7.383 4.306 7.884 K
3.604 4.306 6.895 La
3.798 1.435 2.841 La
1.994 4.306 0.829 P
2.168 1.435 5.580 P
5.234 4.306 4.156 P
5.408 1.435 8.907 P
0.462 4.306 0.969 O
1.555 1.435 4.142 O
1.717 0.161 6.357 O
1.717 2.710 6.357 O
2.225 4.306 9.066 O
2.583 3.033 1.530 O
2.583 5.579 1.530 O
3.684 4.306 4.318 O
3.718 1.435 5.418 O
4.819 0.162 8.206 O
4.819 2.708 8.206 O
5.177 1.435 0.669 O
5.685 3.031 3.379 O
5.685 5.580 3.379 O
5.847 4.306 5.594 O
6.940 1.435 8.767 O

---

Sr2NdBeO5 | the Materials Project database | GGA-PBE | relaxed; space group = Pnma; magnetic moment = 4.00 μB/cell; energy of formation = -3.130 eV/atom; E_tot = -6.818 eV/atom
1.0
9.699 0.000 0.000
0.000 7.456 0.000
0.000 0.000 6.618
Sr Nd Be O
8 4 4 20
Cartesian
1.679 0.186 0.567 Sr
1.679 3.542 0.567 Sr
3.170 3.914 3.876 Sr
3.170 7.270 3.876 Sr
6.529 0.186 2.741 Sr
6.529 3.542 2.741 Sr
8.020 3.914 6.050 Sr
8.020 7.270 6.050 Sr
0.283 1.864 3.929 Nd
4.566 5.592 0.620 Nd
5.133 1.864 5.998 Nd
9.416 5.592 2.689 Nd
0.997 5.592 5.366 Be
3.853 1.864 2.057 Be
5.846 5.592 4.561 Be
8.702 1.864 1.252 Be
0.135 5.592 0.194 O
0.628 4.209 4.554 O
0.628 6.975 4.554 O
2.129 5.592 2.156 O
2.232 1.864 2.463 O
2.618 5.592 5.772 O
2.720 1.864 5.465 O
4.222 0.481 1.245 O
4.222 3.247 1.245 O
4.715 1.864 3.503 O
4.984 5.592 3.114 O
5.477 4.209 5.372 O
5.477 6.975 5.372 O
6.979 5.592 1.153 O
7.081 1.864 0.846 O
7.467 5.592 4.155 O
7.570 1.864 4.462 O
9.071 0.481 2.063 O
9.071 3.247 2.063 O
9.564 1.864 6.423 O

---

MgMnTlV4S8 | the Materials Project database | GGA-PBE | relaxed; polymorph energy (0 for the lowest one) = 0.058 eV per atom; space group = P1; magnetic moment = 11.29 μB/cell; energy of formation = -1.031 eV/atom; E_tot = -6.266 eV/atom
1.0
3.461 0.000 0.000
0.010 9.003 0.000
1.728 2.354 8.859
Mg Mn Tl V S
1 1 1 4 8
Cartesian
0.000 0.000 0.000 Mg
3.468 6.109 0.820 Mn
1.728 2.354 1.186 Tl
1.736 4.291 4.370 V
1.734 7.027 3.660 V
3.464 7.676 6.685 V
3.471 10.547 5.885 V
1.735 6.736 8.012 S
1.731 3.147 6.539 S
1.737 8.874 5.282 S
1.738 5.109 2.142 S
3.468 9.675 8.233 S
3.466 5.927 5.034 S
3.465 2.686 3.789 S
3.467 8.056 2.317 S

---

MgGa4Cu2O8 | the Materials Project database | GGA-PBE | relaxed; polymorph energy (0 for the lowest one) = 0.000 eV per atom; space group = P1; magnetic moment = 0.00 μB/cell; energy of formation = -1.844 eV/atom; E_tot = -5.577 eV/atom
1.0
5.954 0.000 0.000
2.976 5.160 0.000
0.002 3.429 5.204
Mg Ga Cu O
1 4 2 8
Cartesian
0.000 0.000 0.000 Mg
5.935 6.875 2.602 Ga
4.456 6.009 5.204 Ga
5.944 5.160 0.000 Ga
7.431 2.581 0.001 Ga
2.942 5.151 2.419 Cu
5.909 3.438 2.785 Cu
1.569 0.913 1.199 O
2.964 3.332 1.202 O
2.967 5.149 4.291 O
4.547 7.676 4.006 O
4.365 0.911 1.199 O
5.944 3.441 0.914 O
5.942 5.258 4.003 O
7.343 7.679 4.006 O

---

Among the records above, which one has the highest E_tot? Li2AcTl

---

Among the records above, which one has the lowest E_tot? Eu3Cr

---

Which formula does entry 2 have? BaAl3P2H2O14

---

Which value of energy of formation does entry 8 give? -1.844 eV/atom